Here is an optimized crystal structure of Er6Nb4Al43 from Materials Project. Energies are from GGA-PBE.

Values from the calculation:
Calculated formation energy: -0.327 eV per atom
V: 1895 Å³/cell
VASP energy: -0.17072 hartree per atom

a b c (Å): 11.1155 11.1155 17.7065
angles (deg): 90.00 90.00 120.00
Closest atoms and distances in Å follow each position.
Space group P6_3/mcm (No. 193)
Unique sites:
1 Er 0.0000 0.4697 0.0962  14 Al 3.06-3.42
2 Nb 0.0000 0.0000 0.0000  12 Al 2.70-2.91
3 Nb 0.0000 0.2744 0.2500  10 Al 2.64-2.75
4 Al 0.0000 0.1471 0.7500  2 Nb 2.64, 10 Al 2.83-2.93
5 Al 0.0000 0.1591 0.1152  2 Nb 2.70-2.71, 7 Al 2.76-2.93
6 Al 0.0000 0.2569 0.5303  9 Al 2.75-3.05, 1 Nb 2.91
7 Al 0.1500 0.5544 0.2500  1 Nb 2.70, 7 Al 2.74-2.89
8 Al 0.1568 0.3944 0.6635  8 Al 2.74-3.06, 1 Nb 2.75, 1 Er 3.06
9 Al 0.2472 0.4944 0.0000  6 Al 2.75-2.87
10 Al 0.3333 0.6667 0.1263  9 Al 2.74-2.82